Record 1
The following is a DFT calculation (PBE with a Hubbard U) of a geometry-optimized LiFeSnO4 structure.

total energy after the MP2020 corrections = -6.864 eV per atom
crystal system = tetragonal
energy above the lowest structure with this stoichiometry = 0.23 eV/f.u.
E_tot = -6.149 eV/atom
formation enthalpy at 0 K = -1981 meV/atom
space-group type = P4_322, No. 95

The structure in POSCAR format:
```
LiFeSnO4
1.0
-2.859 -0.676 -5.375
1.620 -5.906 -0.120
-7.279 -2.081 4.134
O Fe Sn Li
16 4 4 4
Direct
0.483 0.260 0.242
0.483 0.740 0.258
0.255 0.001 0.997
0.740 0.483 0.992
0.260 0.517 0.492
0.517 0.740 0.742
0.740 0.517 0.508
0.517 0.260 0.758
0.260 0.483 0.008
0.001 0.745 0.247
0.999 0.745 0.753
0.001 0.255 0.253
0.255 0.999 0.503
0.745 0.999 0.497
0.745 0.001 0.003
0.999 0.255 0.747
0.254 0.746 0.875
0.746 0.254 0.375
0.746 0.746 0.125
0.254 0.254 0.625
0.774 0.500 0.750
0.226 0.500 0.250
0.500 0.774 0.500
0.500 0.226 0.000
0.789 0.000 0.750
0.000 0.789 0.500
0.000 0.211 0.000
0.211 0.000 0.250
```



Record 2
The following is a DFT calculation (PBE with a Hubbard U) of a geometry-optimized LiFeSnO4 structure.

total energy after the MP2020 corrections = -6.896 eV per atom
energy above the lowest structure with this stoichiometry = 0.00 eV/f.u.
E_tot = -6.181 eV/atom
formation enthalpy at 0 K = -2013 meV/atom

The structure in POSCAR format:
```
LiFeSnO4
1.0
0.000 -3.504 4.955
6.316 0.000 0.000
0.000 7.142 5.050
O Fe Sn Li
16 4 4 4
Direct
0.500 0.029 0.762
0.232 0.750 0.489
0.768 0.250 0.511
0.000 0.029 0.738
0.268 0.250 0.989
0.000 0.529 0.262
0.500 0.971 0.238
0.732 0.250 0.989
0.268 0.750 0.011
0.732 0.750 0.011
0.500 0.471 0.762
0.000 0.471 0.738
0.000 0.971 0.262
0.768 0.750 0.489
0.232 0.250 0.511
0.500 0.529 0.238
0.750 0.750 0.250
0.250 0.250 0.750
0.250 0.750 0.250
0.750 0.250 0.750
0.500 0.000 0.000
0.000 0.000 0.500
0.500 0.500 0.000
0.000 0.500 0.500
0.500 0.750 0.628
0.000 0.250 0.128
0.500 0.250 0.372
0.000 0.750 0.872
```



Record 3
The following is a DFT calculation (PBE with a Hubbard U) of a geometry-optimized LiFeSnO4 structure.

total energy after the MP2020 corrections = -6.825 eV per atom
crystal system = tetragonal
energy above the lowest structure with this stoichiometry = 0.50 eV/f.u.
E_tot = -6.110 eV/atom
formation enthalpy at 0 K = -1942 meV/atom
space-group type = P4_322, No. 95

The structure in POSCAR format:
```
LiFeSnO4
1.0
-2.716 -5.471 -0.560
4.141 -2.445 3.807
-5.062 1.829 6.681
O Fe Sn Li
16 4 4 4
Direct
0.480 0.262 0.237
0.261 0.017 0.998
0.520 0.738 0.737
0.738 0.480 0.987
0.739 0.017 0.002
0.520 0.262 0.763
0.983 0.739 0.752
0.738 0.520 0.513
0.261 0.983 0.502
0.262 0.520 0.487
0.017 0.261 0.252
0.480 0.738 0.263
0.739 0.983 0.498
0.017 0.739 0.248
0.262 0.480 0.013
0.983 0.261 0.748
0.500 0.235 0.000
0.765 0.500 0.750
0.235 0.500 0.250
0.500 0.765 0.500
0.255 0.745 0.875
0.255 0.255 0.625
0.745 0.745 0.125
0.745 0.255 0.375
0.227 0.000 0.250
0.000 0.227 0.000
0.000 0.773 0.500
0.773 0.000 0.750
```